# CeSmB12 meta-GGA r2SCAN optimized geometry
# Total moment ... 1.03 μB per cell
# Formation enthalpy at 0 K ... -550 meV/atom
data_CeSmB12
_cell_length_a 5.8261
_cell_length_b 5.8261
_cell_length_c 4.1219
_cell_angle_alpha 90.00
_cell_angle_beta 90.00
_cell_angle_gamma 90.00
_space_group_name_H-M_alt 'P 1'
_space_group_IT_number 1
_space_group_name_Hall 'P 1'
loop_
_atom_site_label
_atom_site_type_symbol
_atom_site_fract_x
_atom_site_fract_y
_atom_site_fract_z
B1 B 0.6501 0.8494 0.5000
B2 B 0.1506 0.6501 0.5000
B3 B 0.0000 0.5000 0.8007
B4 B 0.1506 0.3499 0.5000
B5 B 0.8494 0.3499 0.5000
B6 B 0.8494 0.6501 0.5000
B7 B 0.3499 0.1506 0.5000
B8 B 0.5000 0.0000 0.1993
B9 B 0.5000 0.0000 0.8007
B10 B 0.0000 0.5000 0.1993
B11 B 0.3499 0.8494 0.5000
B12 B 0.6501 0.1506 0.5000
Sm1 Sm 0.0000 0.0000 0.0000
Ce1 Ce 0.5000 0.5000 0.0000